The following is a DFT calculation (GGA+U) of a relaxed structure of BaPrEuWO6.

a = 6.029 Å, b = 6.086 Å, c = 8.596 Å
α = 90.15°, β = 90.46°, γ = 89.90°
Fractional coordinates of all 20 atoms:
1 O 0.693 0.261 0.045
2 O 0.179 0.227 0.545
3 O 0.735 0.301 0.464
4 O 0.227 0.188 0.950
5 O 0.265 0.699 0.536
6 O 0.405 0.996 0.229
7 O 0.071 0.460 0.269
8 O 0.929 0.540 0.731
9 O 0.307 0.739 0.955
10 O 0.821 0.773 0.455
11 O 0.773 0.812 0.050
12 O 0.595 0.004 0.771
13 Eu 0.991 0.044 0.252
14 Eu 0.009 0.956 0.748
15 Pr 0.000 0.500 0.000
16 Pr 0.500 0.000 0.500
17 W 0.500 0.000 0.000
18 W 0.000 0.500 0.500
19 Ba 0.492 0.468 0.750
20 Ba 0.508 0.532 0.250

Size of the total moment, μB/cell: 16.00
Relative energy among the computed polymorphs, eV/f.u.: 0.00
Symmetry: P-1 (2)
ΔH_f (0 K), eV per atom: -3.03
Calculated volume, Å³ per cell: 315.4